Density functional theory data (GGA-PBE) for a relaxed structure of UCuSi.

Properties
Its crystal system is monoclinic. Its space-group type is Cm (8). The energy of formation is -0.050 eV per atom. The value obtained for the total energy is -7.013 eV/atom.

```
UCuSi
1.0
0.531 2.724 -0.164
-2.072 3.465 3.413
4.375 -0.821 0.543
U Cu Si
1 1 1
Direct
0.000 0.000 0.000
0.166 0.333 0.666
0.834 0.667 0.333
```